A geometry-optimized Na4LaInSi2SO12 structure, computed with PBE.

Results
For the formation energy, the calculation gives -5275 kJ/mol of formula units. Its total magnetic moment is 0.00 μB/cell. As for the space group: P1. Its volume is 14.64 Å³ per atom.

extended XYZ file:
```
126
Lattice="-5.341 7.162 -3.359 -3.474 -5.728 6.790 8.676 14.205 16.384" Properties=species:S:1:pos:R:3 pbc="T T T"
Na -4.681 2.569 8.833
Na -1.167 3.888 5.348
Na -5.205 7.196 5.090
Na 0.871 11.288 14.191
Na 0.011 15.832 11.331
Na 4.348 13.310 11.123
Na 2.293 8.781 10.867
Na 2.307 4.297 14.188
Na -1.715 7.677 13.930
Na -4.221 -2.460 6.849
Na -5.122 2.218 3.902
Na -0.664 -0.309 3.676
Na 0.419 16.383 16.350
Na 3.939 17.561 12.817
Na 5.320 13.764 15.945
Na -2.595 10.868 5.498
Na 1.817 8.256 5.908
Na -2.535 7.207 9.076
Na -4.330 8.606 11.472
Na 8.464 14.342 16.369
Na 2.662 14.755 13.486
Na -1.977 7.707 5.503
Na -2.453 1.051 6.048
Na 1.483 8.166 14.304
La 7.211 11.940 13.873
La -7.407 3.687 6.056
La 3.850 16.901 16.220
La -3.851 -1.229 3.655
La 0.276 5.851 11.888
La 2.974 10.141 16.762
In -5.632 6.263 9.121
In 5.608 9.217 10.624
In 1.300 12.461 11.129
In -3.248 5.475 3.172
In -0.507 9.717 7.973
In -1.306 3.097 8.708
Si -3.843 4.536 6.525
Si 1.111 1.821 6.246
Si 3.743 11.033 13.207
Si 2.670 15.520 9.881
Si 2.974 10.667 8.596
Si -0.724 9.541 11.590
Si -6.673 4.514 2.491
Si -2.343 1.977 2.475
Si 6.605 11.112 17.323
Si 2.784 9.806 20.533
Si -3.214 4.880 11.298
Si 1.135 2.242 11.254
S 0.543 5.824 3.114
S -1.231 13.715 13.560
S -1.177 13.272 8.572
S -2.905 5.846 -0.569
S 2.185 13.796 17.400
S 0.584 6.203 8.100
O 1.349 5.770 4.387
O -4.384 5.716 7.544
O -3.191 10.270 3.033
O 4.997 11.940 13.752
O -0.884 13.939 14.994
O 2.633 16.935 10.723
O -1.662 9.889 15.263
O 4.260 9.966 12.061
O 3.204 5.387 16.774
O -5.085 3.582 6.041
O 0.621 1.643 4.694
O -2.800 -1.200 9.176
O -0.394 13.325 9.846
O 2.603 11.862 9.648
O 0.227 10.847 11.877
O -5.289 5.319 2.885
O -2.709 5.935 0.909
O -2.469 3.532 3.040
O -3.199 1.741 1.090
O -6.430 3.410 1.297
O -3.747 4.671 -0.929
O 1.626 9.823 8.122
O -1.082 9.370 9.981
O -1.071 11.929 7.925
O 3.004 13.891 18.624
O 6.221 12.211 18.485
O 3.668 11.164 20.843
O -1.939 5.827 11.705
O 0.954 6.350 9.535
O 0.953 3.651 12.077
O 0.319 2.305 9.816
O -2.746 3.749 10.182
O -0.355 5.044 7.928
O 5.241 10.362 16.786
O 2.503 9.641 18.918
O 2.293 12.445 16.798
O 0.534 1.098 12.315
O -0.868 11.714 3.989
O 1.842 6.030 7.335
O 2.048 19.161 12.818
O 3.696 8.566 21.130
O 0.786 14.110 17.774
O -0.692 14.252 7.565
O 4.002 9.484 9.182
O -2.215 9.677 12.334
O -7.331 3.627 3.716
O -3.614 7.010 -1.120
O -0.799 1.572 2.053
O 2.048 14.456 11.003
O 2.667 12.202 12.733
O 0.053 13.561 12.839
O -3.106 5.402 5.311
O -3.350 7.664 3.433
O -0.869 6.104 3.485
O 2.643 14.750 16.348
O 2.246 17.060 14.490
O 4.763 15.579 14.436
O -0.370 9.742 5.787
O -0.156 7.407 7.597
O -2.620 9.092 7.478
O -2.913 1.010 3.691
O -2.373 -1.437 5.425
O -5.031 -0.004 5.596
O 0.292 5.761 14.186
O 0.124 8.257 12.215
O 2.750 6.429 12.294
O -2.445 1.122 8.952
O -2.755 3.465 7.175
O -0.305 2.003 7.088
O 3.043 10.094 14.374
O 3.371 7.726 16.353
O 0.727 9.373 16.221
```